The following is a DFT calculation (PBE) of a relaxed MgP6H4N12 crystal.

POSCAR file:
```
MgP6H4N12
1.0
4.254 -2.438 0.000
4.254 2.438 0.000
0.000 0.000 21.724
Mg P H N
2 12 8 24
Cartesian
0.000 0.000 0.000 Mg
4.254 0.000 10.862 Mg
4.254 1.980 15.446 P
1.400 0.027 8.967 P
1.400 -0.027 12.757 P
2.854 0.027 1.895 P
2.854 -0.027 19.829 P
4.254 0.458 4.584 P
4.254 -0.458 17.140 P
5.654 0.027 1.895 P
5.654 -0.027 19.829 P
7.108 0.027 8.967 P
7.108 -0.027 12.757 P
4.254 -1.980 6.278 P
2.053 0.031 4.068 H
2.053 -0.031 17.656 H
2.201 0.031 6.794 H
2.201 -0.031 14.930 H
6.306 0.031 6.794 H
6.306 -0.031 14.930 H
6.455 0.031 4.068 H
6.455 -0.031 17.656 H
2.677 1.526 20.292 N
4.254 2.040 4.930 N
2.677 0.912 9.430 N
1.293 0.110 7.269 N
4.254 1.804 12.223 N
1.293 -0.110 14.455 N
2.961 0.110 3.593 N
4.254 0.635 1.361 N
2.961 -0.110 18.131 N
5.831 1.526 20.292 N
4.254 0.399 15.792 N
5.831 0.912 9.430 N
2.677 -0.912 12.294 N
4.254 -0.399 5.932 N
2.677 -1.526 1.432 N
5.546 0.110 3.593 N
4.254 -0.635 20.363 N
5.546 -0.110 18.131 N
7.215 0.110 7.269 N
4.254 -1.804 9.501 N
7.215 -0.110 14.455 N
5.831 -0.912 12.294 N
4.254 -2.040 16.794 N
5.831 -1.526 1.432 N
```

MP2020-corrected energy: -7.0954 eV per atom
total magnetization: 0.00 Bohr magnetons per cell
E_form: -674 meV/atom
calculated total energy: -6.9070 eV/atom
crystal system: orthorhombic